#P
A relaxed Ba6Na2Nb2V2O17 crystal. Source: the Materials Project, functional PBE+U.

Calculated values
Volume in A^3/atom: 16.4

Cell lengths 6.0066, 6.0066, 30.4870 Å; angles 90.00, 90.00, 120.00 degrees
Space group P6_3/mmc (No. 194)
Symmetry-distinct sites (fractional):
Ba 0.0000 0.0000 0.0000
Ba 0.0000 0.0000 0.2500
Ba 0.3333 0.6667 0.0904
Ba 0.3333 0.6667 0.6810
Na 0.0000 0.0000 0.1242
Nb 0.3333 0.6667 0.2013
V 0.3333 0.6667 0.5521
O 0.0288 0.5144 0.2500
O 0.1749 0.3498 0.1695
O 0.1758 0.3516 0.5723
O 0.3333 0.6667 0.0044

#Q
A relaxed Ba6Na2Nb2V2O17 crystal. Source: the Materials Project, functional PBE+U.

Calculated values
Volume in A^3/atom: 16.0

Cell lengths 10.3513, 5.9596, 15.0555 Å; angles 90.00, 90.22, 90.00 degrees
Space group C2 (No. 5)
Symmetry-distinct sites (fractional):
Ba 0.0000 0.0000 0.0000
Ba 0.0000 0.0084 0.5000
Ba 0.1665 0.4998 0.8493
Ba 0.1668 0.4992 0.3136
Na 0.0002 0.9995 0.2482
Nb 0.1667 0.5000 0.0867
V 0.1651 0.4952 0.6040
O 0.0000 0.4999 0.0000
O 0.0879 0.2611 0.6499
O 0.0878 0.7358 0.6443
O 0.0891 0.2662 0.1573
O 0.0889 0.7339 0.1572
O 0.1605 0.4758 0.4897
O 0.1764 0.9980 0.3554
O 0.1775 0.9998 0.8427
O 0.2500 0.2500 0.0000

Unit: meV per atom. Relative energies: #P 9; #Q 0.

#P
A relaxed BaNaNdWO6 crystal. Source: the Materials Project, functional PBE+U.

Calculated values
Volume in A^3/atom: 15.4

Cell lengths 8.4941, 8.5080, 8.5242 Å; angles 90.00, 90.00, 90.00 degrees
Space group Pnnn (No. 48, origin choice 2)
Symmetry-distinct sites (fractional):
Ba 0.2500 0.2500 0.2500
Ba 0.2500 0.2500 0.7500
Na 0.2500 0.7500 0.2500
Na 0.2500 0.7500 0.7500
Nd 0.0000 0.0000 0.0000
W 0.0000 0.0000 0.5000
O 0.0318 0.2272 0.4806
O 0.0381 0.5267 0.2263
O 0.2260 0.5205 0.9587

#Q
A relaxed BaNaNdWO6 crystal. Source: the Materials Project, functional PBE+U.

Calculated values
Volume in A^3/atom: 15.8

Cell lengths 8.5773, 8.5773, 8.5773 Å; angles 90.00, 90.00, 90.00 degrees
Space group F-43m (No. 216)
Symmetry-distinct sites (fractional):
Ba 0.0000 0.0000 0.0000
Na 0.0000 0.0000 0.5000
Nd 0.2500 0.2500 0.7500
W 0.2500 0.2500 0.2500
O 0.0220 0.2500 0.2500

Unit: meV per atom. Relative energies: #P 0; #Q 14.

#P
A relaxed BaNaPrWO6 crystal. Source: the Materials Project, functional PBE+U.

Calculated values
Volume in A^3/atom: 16.0

Cell lengths 8.6173, 8.6173, 8.6173 Å; angles 90.00, 90.00, 90.00 degrees
Space group F-43m (No. 216)
Symmetry-distinct sites (fractional):
Ba 0.0000 0.0000 0.0000
Na 0.0000 0.0000 0.5000
Pr 0.2500 0.2500 0.7500
W 0.2500 0.2500 0.2500
O 0.0230 0.2500 0.2500

#Q
A relaxed BaNaPrWO6 crystal. Source: the Materials Project, functional PBE+U.

Calculated values
Volume in A^3/atom: 14.1

Cell lengths 8.2614, 8.2614, 8.2614 Å; angles 90.00, 90.00, 90.00 degrees
Space group F-43m (No. 216)
Symmetry-distinct sites (fractional):
Ba 0.0000 0.0000 0.0000
Na 0.2500 0.2500 0.2500
Pr 0.0000 0.0000 0.5000
W 0.2500 0.2500 0.7500
O 0.0151 0.2500 0.7500

Unit: meV per atom. Relative energies: #P 0; #Q 98.

#P
A relaxed BaSrNdVO6 crystal. Source: the Materials Project, functional PBE+U.

Calculated values
Volume in A^3/atom: 15.0

Cell lengths 8.4421, 8.4421, 8.4421 Å; angles 90.00, 90.00, 90.00 degrees
Space group F-43m (No. 216)
Symmetry-distinct sites (fractional):
Ba 0.0000 0.0000 0.0000
Sr 0.0000 0.0000 0.5000
Nd 0.2500 0.2500 0.7500
V 0.2500 0.2500 0.2500
O 0.0239 0.2500 0.2500

#Q
A relaxed BaSrNdVO6 crystal. Source: the Materials Project, functional PBE+U.

Calculated values
Volume in A^3/atom: 14.9

Cell lengths 8.3955, 8.4036, 8.4232 Å; angles 90.00, 90.00, 90.00 degrees
Space group P222 (No. 16)
Symmetry-distinct sites (fractional):
Ba 0.0000 0.0000 0.0000
Ba 0.0000 0.0000 0.5000
Ba 0.0000 0.5000 0.0000
Ba 0.5000 0.5000 0.0000
Sr 0.0000 0.5000 0.5000
Sr 0.5000 0.0000 0.0000
Sr 0.5000 0.0000 0.5000
Sr 0.5000 0.5000 0.5000
Nd 0.2531 0.2488 0.2521
V 0.2515 0.2520 0.7464
O 0.0270 0.2261 0.7705
O 0.2192 0.2800 0.5230
O 0.2297 0.4749 0.7740
O 0.2813 0.0254 0.7171
O 0.2824 0.2220 0.9737
O 0.4759 0.2812 0.7163

Unit: meV per atom. Relative energies: #P 14; #Q 0.

#P
A relaxed BaTm2NiO5 crystal. Source: the Materials Project, functional PBE+U.

Calculated values
Volume in A^3/atom: 13.6

Cell lengths 3.7704, 5.7403, 11.2818 Å; angles 90.00, 90.00, 90.00 degrees
Space group Immm (No. 71)
Symmetry-distinct sites (fractional):
Ba 0.0000 0.0000 0.0000
Tm 0.0000 0.5000 0.2035
Ni 0.0000 0.0000 0.5000
O 0.0000 0.2395 0.3481
O 0.0000 0.5000 0.0000

#Q
A relaxed BaTm2NiO5 crystal. Source: the Materials Project, functional PBE+U.

Calculated values
Volume in A^3/atom: 13.5

Cell lengths 12.2447, 5.6757, 7.0101 Å; angles 90.00, 90.00, 90.00 degrees
Space group Pnma (No. 62)
Symmetry-distinct sites (fractional):
Ba 0.0979 0.2500 0.0754
Tm 0.0738 0.7500 0.3984
Tm 0.2085 0.2500 0.6194
Ni 0.1558 0.7500 0.8026
O 0.0658 0.5022 0.6649
O 0.1036 0.7500 0.0755
O 0.2253 0.9996 0.3615

Unit: meV per atom. Relative energies: #P 18; #Q 0.

#P
A relaxed Ba2YNi3O7 crystal. Source: the Materials Project, functional PBE+U.

Calculated values
Volume in A^3/atom: 13.7

Cell lengths 7.8160, 7.9210, 23.0464 Å; angles 90.00, 90.00, 90.00 degrees
Space group Fmmm (No. 69)
Symmetry-distinct sites (fractional):
Ba 0.2500 0.2500 0.0912
Y 0.2500 0.2500 0.2500
Ni 0.0000 0.0000 0.0000
Ni 0.0000 0.0000 0.1714
Ni 0.0000 0.0000 0.3293
Ni 0.0000 0.0000 0.5000
O 0.0000 0.0000 0.0811
O 0.0000 0.0000 0.4182
O 0.0000 0.2369 0.0000
O 0.0000 0.2494 0.1881
O 0.2496 0.0000 0.1882

#Q
A relaxed Ba2YNi3O7 crystal. Source: the Materials Project, functional PBE+U.

Calculated values
Volume in A^3/atom: 13.8

Cell lengths 3.8944, 3.9986, 11.5032 Å; angles 90.00, 90.00, 90.00 degrees
Space group Pmmm (No. 47)
Symmetry-distinct sites (fractional):
Ba 0.0000 0.0000 0.1835
Y 0.0000 0.0000 0.5000
Ni 0.5000 0.5000 0.0000
Ni 0.5000 0.5000 0.3421
O 0.0000 0.5000 0.3759
O 0.5000 0.0000 0.0000
O 0.5000 0.0000 0.3761
O 0.5000 0.5000 0.1625

Unit: meV per atom. Relative energies: #P 15; #Q 0.